Here is crystalline SiO2 at its relaxed geometry from the Materials Project database. Energies are from PBE.

a b c (Å): 14.4345 14.4345 14.4345
angles (deg): 90.00 90.00 90.00
Closest atoms and distances in Å follow each position.
Space group Pm-3n (No. 223)
Symmetry-distinct sites (fractional):
Si: 0.1046 0.1915 0.2724 (multiplicity 48)  4 O 1.62-1.65
O: 0.0000 0.1527 0.2875 (multiplicity 24)  2 Si 1.62
O: 0.1072 0.2569 0.1790 (multiplicity 48)  2 Si 1.64-1.65
O: 0.1357 0.2500 0.3643 (multiplicity 24)  2 Si 1.63

Summary:
energy of formation	-309.8	kJ/mol of atoms
raw total energy	-7.8600	eV per atom
calculated volume	3007.50	Å³ per cell